Density functional theory data (GGA-PBE) for crystalline Pt3Pb at its relaxed geometry.

Properties
The calculated total energy is -5.563 eV per atom. As for the crystal system: cubic.

The structure in CIF format:
```
data_Pt3Pb
_chemical_formula_sum 'Pt3 Pb1'
_space_group_name_H-M_alt 'P m -3 m'
_space_group_IT_number 221
_space_group_name_Hall '-P 4 2 3'
_cell_length_a 4.132
_cell_length_b 4.132
_cell_length_c 4.132
_cell_angle_alpha 90.00
_cell_angle_beta 90.00
_cell_angle_gamma 90.00
loop_
_atom_site_label
_atom_site_type_symbol
_atom_site_fract_x
_atom_site_fract_y
_atom_site_fract_z
Pt1 Pt 0.000 0.000 0.500
Pb1 Pb 0.500 0.500 0.500
```



Density functional theory data (GGA-PBE) for crystalline PtPb4 at its relaxed geometry.

Properties
The calculated total energy is -4.311 eV per atom. As for the crystal system: tetragonal.

The structure in CIF format:
```
data_PtPb4
_chemical_formula_sum 'Pt2 Pb8'
_space_group_name_H-M_alt 'P 4/n b m'
_space_group_IT_number 125
_cell_length_a 6.800
_cell_length_b 6.800
_cell_length_c 6.145
_cell_angle_alpha 90.00
_cell_angle_beta 90.00
_cell_angle_gamma 90.00
loop_
_space_group_symop_operation_xyz
'x,y,z'
'-x,-y,-z'
'-y+1/2,x,z'
'y+1/2,-x,-z'
'-x+1/2,-y+1/2,z'
'x+1/2,y+1/2,-z'
'y,-x+1/2,z'
'-y,x+1/2,-z'
'x,-y+1/2,-z'
'-x,y+1/2,z'
'-y+1/2,-x+1/2,-z'
'y+1/2,x+1/2,z'
'-x+1/2,y,-z'
'x+1/2,-y,z'
'y,x,-z'
'-y,-x,z'
loop_
_atom_site_label
_atom_site_type_symbol
_atom_site_fract_x
_atom_site_fract_y
_atom_site_fract_z
Pt1 Pt 0.250 0.250 0.000
Pb1 Pb 0.075 0.575 0.251
```



Density functional theory data (GGA-PBE) for crystalline SiPt5Pb at its relaxed geometry.

Properties
The calculated total energy is -6.012 eV per atom. As for the crystal system: tetragonal.

The structure in CIF format:
```
data_SiPt5Pb
_chemical_formula_sum 'Si1 Pt5 Pb1'
_space_group_name_H-M_alt 'P 4/m m m'
_space_group_IT_number 123
_space_group_name_Hall '-P 4 2'
_cell_length_a 4.031
_cell_length_b 4.031
_cell_length_c 7.300
_cell_angle_alpha 90.00
_cell_angle_beta 90.00
_cell_angle_gamma 90.00
loop_
_atom_site_label
_atom_site_type_symbol
_atom_site_fract_x
_atom_site_fract_y
_atom_site_fract_z
Si1 Si 0.000 0.000 0.000
Pt1 Pt 0.000 0.000 0.500
Pt2 Pt 0.000 0.500 0.197
Pb1 Pb 0.500 0.500 0.500
```



Density functional theory data (GGA-PBE) for crystalline TiPtPb at its relaxed geometry.

Properties
The calculated total energy is -5.986 eV per atom. As for the crystal system: cubic.

The structure in CIF format:
```
data_TiPtPb
_chemical_formula_sum 'Ti4 Pt4 Pb4'
_space_group_name_H-M_alt 'F -4 3 m'
_space_group_IT_number 216
_space_group_name_Hall 'F -4 2 3'
_cell_length_a 6.371
_cell_length_b 6.371
_cell_length_c 6.371
_cell_angle_alpha 90.00
_cell_angle_beta 90.00
_cell_angle_gamma 90.00
loop_
_atom_site_label
_atom_site_type_symbol
_atom_site_fract_x
_atom_site_fract_y
_atom_site_fract_z
Ti1 Ti 0.000 0.000 0.000
Pt1 Pt 0.250 0.250 0.250
Pb1 Pb 0.250 0.250 0.750
```



Density functional theory data (GGA-PBE) for crystalline Pu3Pb at its relaxed geometry.

Properties
The calculated total energy is -11.751 eV per atom. As for the crystal system: cubic.

The structure in CIF format:
```
data_Pu3Pb
_chemical_formula_sum 'Pu3 Pb1'
_space_group_name_H-M_alt 'P m -3 m'
_space_group_IT_number 221
_space_group_name_Hall '-P 4 2 3'
_cell_length_a 4.792
_cell_length_b 4.792
_cell_length_c 4.792
_cell_angle_alpha 90.00
_cell_angle_beta 90.00
_cell_angle_gamma 90.00
loop_
_atom_site_label
_atom_site_type_symbol
_atom_site_fract_x
_atom_site_fract_y
_atom_site_fract_z
Pu1 Pu 0.000 0.000 0.500
Pb1 Pb 0.500 0.500 0.500
```



Density functional theory data (GGA-PBE) for crystalline Pu5Pb3 at its relaxed geometry.

Properties
The calculated total energy is -10.162 eV per atom. As for the crystal system: tetragonal.

The structure in CIF format:
```
data_Pu5Pb3
_chemical_formula_sum 'Pu20 Pb12'
_space_group_name_H-M_alt 'I 4/m c m'
_space_group_IT_number 140
_space_group_name_Hall '-I 4 2c'
_cell_length_a 12.411
_cell_length_b 12.411
_cell_length_c 5.955
_cell_angle_alpha 90.00
_cell_angle_beta 90.00
_cell_angle_gamma 90.00
loop_
_atom_site_label
_atom_site_type_symbol
_atom_site_fract_x
_atom_site_fract_y
_atom_site_fract_z
Pu1 Pu 0.000 0.500 0.250
Pu2 Pu 0.078 0.227 0.000
Pb1 Pb 0.000 0.000 0.250
Pb2 Pb 0.165 0.335 0.500
```



Density functional theory data (GGA-PBE) for crystalline PuPb2 at its relaxed geometry.

Properties
The calculated total energy is -7.397 eV per atom. As for the crystal system: tetragonal.

The structure in CIF format:
```
data_PuPb2
_chemical_formula_sum 'Pu8 Pb16'
_space_group_name_H-M_alt 'I 41/a m d'
_space_group_IT_number 141
_cell_length_a 4.806
_cell_length_b 4.806
_cell_length_c 29.987
_cell_angle_alpha 90.00
_cell_angle_beta 90.00
_cell_angle_gamma 90.00
loop_
_space_group_symop_operation_xyz
'x,y,z'
'-x,-y,-z'
'-y+1/4,x+3/4,z+1/4'
'y+1/4,-x+3/4,-z+1/4'
'-x+1/2,-y,z+1/2'
'x+1/2,y,-z+1/2'
'y+1/4,-x+1/4,z+3/4'
'-y+1/4,x+1/4,-z+3/4'
'x,-y,-z'
'-x,y,z'
'-y+1/4,-x+1/4,-z+3/4'
'y+1/4,x+1/4,z+3/4'
'-x+1/2,y,-z+1/2'
'x+1/2,-y,z+1/2'
'y+1/4,x+3/4,-z+1/4'
'-y+1/4,-x+3/4,z+1/4'
'x+1/2,y+1/2,z+1/2'
'-x+1/2,-y+1/2,-z+1/2'
'-y+3/4,x+1/4,z+3/4'
'y+3/4,-x+1/4,-z+3/4'
'-x,-y+1/2,z'
'x,y+1/2,-z'
'y+3/4,-x+3/4,z+1/4'
'-y+3/4,x+3/4,-z+1/4'
'x+1/2,-y+1/2,-z+1/2'
'-x+1/2,y+1/2,z+1/2'
'-y+3/4,-x+3/4,-z+1/4'
'y+3/4,x+3/4,z+1/4'
'-x,y+1/2,-z'
'x,-y+1/2,z'
'y+3/4,x+1/4,-z+3/4'
'-y+3/4,-x+1/4,z+3/4'
loop_
_atom_site_label
_atom_site_type_symbol
_atom_site_fract_x
_atom_site_fract_y
_atom_site_fract_z
Pu1 Pu 0.000 0.250 0.296
Pb1 Pb 0.000 0.250 0.125
Pb2 Pb 0.000 0.250 0.788
```



Density functional theory data (GGA-PBE) for crystalline Rb4Pb9 at its relaxed geometry.

Properties
The calculated total energy is -3.030 eV per atom. As for the crystal system: monoclinic.

The structure in CIF format:
```
data_Rb4Pb9
_chemical_formula_sum 'Rb16 Pb36'
_space_group_name_H-M_alt 'P 1 21/m 1'
_space_group_IT_number 11
_space_group_name_Hall '-P 2yb'
_cell_length_a 10.203
_cell_length_b 13.709
_cell_length_c 16.647
_cell_angle_alpha 90.00
_cell_angle_beta 103.24
_cell_angle_gamma 90.00
loop_
_atom_site_label
_atom_site_type_symbol
_atom_site_fract_x
_atom_site_fract_y
_atom_site_fract_z
Rb1 Rb 0.050 0.003 0.370
Rb2 Rb 0.117 0.250 0.206
Rb3 Rb 0.259 0.250 0.567
Rb4 Rb 0.325 0.598 0.909
Rb5 Rb 0.383 0.576 0.213
Pb1 Pb 0.002 0.060 0.878
Pb2 Pb 0.056 0.750 0.031
Pb3 Pb 0.059 0.750 0.242
Pb4 Pb 0.145 0.750 0.498
Pb5 Pb 0.180 0.750 0.691
Pb6 Pb 0.227 0.135 0.785
Pb7 Pb 0.240 0.135 0.023
Pb8 Pb 0.313 0.568 0.623
Pb9 Pb 0.389 0.632 0.454
Pb10 Pb 0.390 0.131 0.380
Pb11 Pb 0.428 0.250 0.926
Pb12 Pb 0.495 0.750 0.753
```



Density functional theory data (GGA-PBE) for crystalline Rb3Pb at its relaxed geometry.

Properties
The calculated total energy is -1.657 eV per atom. As for the crystal system: cubic.

The structure in CIF format:
```
data_Rb3Pb
_chemical_formula_sum 'Rb12 Pb4'
_space_group_name_H-M_alt 'F m -3 m'
_space_group_IT_number 225
_space_group_name_Hall '-F 4 2 3'
_cell_length_a 9.498
_cell_length_b 9.498
_cell_length_c 9.498
_cell_angle_alpha 90.00
_cell_angle_beta 90.00
_cell_angle_gamma 90.00
loop_
_atom_site_label
_atom_site_type_symbol
_atom_site_fract_x
_atom_site_fract_y
_atom_site_fract_z
Rb1 Rb 0.000 0.000 0.000
Rb2 Rb 0.250 0.250 0.250
Pb1 Pb 0.000 0.000 0.500
```



Density functional theory data (GGA-PBE) for crystalline RePb3 at its relaxed geometry.

Properties
The calculated total energy is -4.869 eV per atom. As for the crystal system: cubic.

The structure in CIF format:
```
data_RePb3
_chemical_formula_sum 'Re4 Pb12'
_space_group_name_H-M_alt 'F m -3 m'
_space_group_IT_number 225
_space_group_name_Hall '-F 4 2 3'
_cell_length_a 7.361
_cell_length_b 7.361
_cell_length_c 7.361
_cell_angle_alpha 90.00
_cell_angle_beta 90.00
_cell_angle_gamma 90.00
loop_
_atom_site_label
_atom_site_type_symbol
_atom_site_fract_x
_atom_site_fract_y
_atom_site_fract_z
Re1 Re 0.000 0.000 0.000
Pb1 Pb 0.000 0.000 0.500
Pb2 Pb 0.250 0.250 0.250
```



Density functional theory data (GGA-PBE) for crystalline Re3Pb2S6 at its relaxed geometry.

Properties
The calculated total energy is -6.729 eV per atom. As for the crystal system: monoclinic.

The structure in CIF format:
```
data_Re3Pb2S6
_chemical_formula_sum 'Re24 Pb16 S48'
_space_group_name_H-M_alt 'C 1 2/c 1'
_space_group_IT_number 15
_space_group_name_Hall '-C 2yc'
_cell_length_a 17.025
_cell_length_b 9.533
_cell_length_c 11.957
_cell_angle_alpha 90.00
_cell_angle_beta 90.89
_cell_angle_gamma 90.00
loop_
_atom_site_label
_atom_site_type_symbol
_atom_site_fract_x
_atom_site_fract_y
_atom_site_fract_z
Re1 Re 0.163 0.143 0.462
Re2 Re 0.201 0.314 0.631
Re3 Re 0.206 0.401 0.420
Pb1 Pb 0.000 0.177 0.750
Pb2 Pb 0.000 0.398 0.250
Pb3 Pb 0.103 0.233 0.022
S1 S 0.051 0.008 0.400
S2 S 0.083 0.346 0.516
S3 S 0.135 0.410 0.808
S4 S 0.164 0.070 0.657
S5 S 0.175 0.233 0.274
S6 S 0.245 0.453 0.076
```



Density functional theory data (GGA-PBE) for crystalline Re3PbSe6 at its relaxed geometry.

Properties
The calculated total energy is -6.597 eV per atom. As for the crystal system: monoclinic.

The structure in CIF format:
```
data_Re3PbSe6
_chemical_formula_sum 'Re24 Pb8 Se48'
_space_group_name_H-M_alt 'C 1 c 1'
_space_group_IT_number 9
_space_group_name_Hall 'C -2yc'
_cell_length_a 17.078
_cell_length_b 9.963
_cell_length_c 12.417
_cell_angle_alpha 90.00
_cell_angle_beta 90.37
_cell_angle_gamma 90.00
loop_
_atom_site_label
_atom_site_type_symbol
_atom_site_fract_x
_atom_site_fract_y
_atom_site_fract_z
Re1 Re 0.000 0.105 0.000
Re2 Re 0.088 0.394 0.157
Re3 Re 0.089 0.316 0.952
Re4 Re 0.134 0.147 0.107
Re5 Re 0.454 0.150 0.551
Re6 Re 0.499 0.318 0.708
Pb1 Pb 0.179 0.230 0.586
Pb2 Pb 0.307 0.249 0.855
Se1 Se 0.042 0.054 0.650
Se2 Se 0.042 0.451 0.505
Se3 Se 0.130 0.229 0.301
Se4 Se 0.132 0.077 0.910
Se5 Se 0.155 0.406 0.770
Se6 Se 0.218 0.351 0.059
Se7 Se 0.258 0.013 0.162
Se8 Se 0.328 0.024 0.495
Se9 Se 0.371 0.355 0.602
Se10 Se 0.441 0.401 0.890
Se11 Se 0.455 0.078 0.747
Se12 Se 0.459 0.228 0.356
```



Density functional theory data (GGA-PBE) for crystalline Rh3Pb at its relaxed geometry.

Properties
The calculated total energy is -6.387 eV per atom. As for the crystal system: tetragonal.

The structure in CIF format:
```
data_Rh3Pb
_chemical_formula_sum 'Rh6 Pb2'
_space_group_name_H-M_alt 'I 4/m m m'
_space_group_IT_number 139
_space_group_name_Hall '-I 4 2'
_cell_length_a 4.105
_cell_length_b 4.105
_cell_length_c 7.763
_cell_angle_alpha 90.00
_cell_angle_beta 90.00
_cell_angle_gamma 90.00
loop_
_atom_site_label
_atom_site_type_symbol
_atom_site_fract_x
_atom_site_fract_y
_atom_site_fract_z
Rh1 Rh 0.000 0.000 0.000
Rh2 Rh 0.000 0.500 0.250
Pb1 Pb 0.000 0.000 0.500
```



Density functional theory data (GGA-PBE) for crystalline RhPb2 at its relaxed geometry.

Properties
The calculated total energy is -5.000 eV per atom. As for the crystal system: tetragonal.

The structure in CIF format:
```
data_RhPb2
_chemical_formula_sum 'Rh4 Pb8'
_space_group_name_H-M_alt 'I 4/m c m'
_space_group_IT_number 140
_space_group_name_Hall '-I 4 2c'
_cell_length_a 6.813
_cell_length_b 6.813
_cell_length_c 5.948
_cell_angle_alpha 90.00
_cell_angle_beta 90.00
_cell_angle_gamma 90.00
loop_
_atom_site_label
_atom_site_type_symbol
_atom_site_fract_x
_atom_site_fract_y
_atom_site_fract_z
Rh1 Rh 0.000 0.000 0.250
Pb1 Pb 0.167 0.333 0.000
```



Density functional theory data (GGA-PBE) for crystalline Rh3Pb2S2 at its relaxed geometry.

Properties
The calculated total energy is -5.765 eV per atom. As for the crystal system: trigonal.

The structure in CIF format:
```
data_Rh3Pb2S2
_chemical_formula_sum 'Rh9 Pb6 S6'
_space_group_name_H-M_alt 'R -3 m'
_space_group_IT_number 166
_space_group_name_Hall '-R 3 2"'
_cell_length_a 5.8103
_cell_length_b 5.8103
_cell_length_c 14.1274
_cell_angle_alpha 90.00
_cell_angle_beta 90.00
_cell_angle_gamma 120.00
loop_
_atom_site_label
_atom_site_type_symbol
_atom_site_fract_x
_atom_site_fract_y
_atom_site_fract_z
Rh1 Rh 0.0000 0.5000 0.0000
Pb1 Pb 0.0000 0.0000 0.0000
Pb2 Pb 0.0000 0.0000 0.5000
S1 S 0.0000 0.0000 0.2183
```



Density functional theory data (GGA-PBE) for crystalline Sr3Rh4Pb13 at its relaxed geometry.

Properties
The calculated total energy is -4.427 eV per atom. As for the crystal system: cubic.

The structure in CIF format:
```
data_Sr3Rh4Pb13
_chemical_formula_sum 'Sr6 Rh8 Pb26'
_space_group_name_H-M_alt 'P m -3 n'
_space_group_IT_number 223
_space_group_name_Hall '-P 4n 2 3'
_cell_length_a 10.299
_cell_length_b 10.299
_cell_length_c 10.299
_cell_angle_alpha 90.00
_cell_angle_beta 90.00
_cell_angle_gamma 90.00
loop_
_atom_site_label
_atom_site_type_symbol
_atom_site_fract_x
_atom_site_fract_y
_atom_site_fract_z
Sr1 Sr 0.000 0.250 0.500
Rh1 Rh 0.250 0.250 0.250
Pb1 Pb 0.000 0.000 0.000
Pb2 Pb 0.000 0.303 0.155
```



Density functional theory data (GGA-PBE) for crystalline PbS at its relaxed geometry.

Properties
The calculated total energy is -4.400 eV per atom. As for the crystal system: monoclinic.

The structure in CIF format:
```
data_PbS
_chemical_formula_sum 'Pb4 S4'
_space_group_name_H-M_alt 'C 1 2/m 1'
_space_group_IT_number 12
_space_group_name_Hall '-C 2y'
_cell_length_a 6.004
_cell_length_b 6.004
_cell_length_c 11.312
_cell_angle_alpha 90.00
_cell_angle_beta 95.69
_cell_angle_gamma 90.00
loop_
_atom_site_label
_atom_site_type_symbol
_atom_site_fract_x
_atom_site_fract_y
_atom_site_fract_z
Pb1 Pb 0.226 0.000 0.375
S1 S 0.229 0.500 0.386
```



Density functional theory data (GGA-PBE) for crystalline PbS at its relaxed geometry.

Properties
The value obtained for the largest piezoelectric modulus is 4.34 C/m². The calculated total energy is -4.399 eV per atom. As for the crystal system: orthorhombic.

The structure in CIF format:
```
data_PbS
_chemical_formula_sum 'Pb4 S4'
_space_group_name_H-M_alt 'A e m 2'
_space_group_IT_number 39
_space_group_name_Hall 'A 2 -2b'
_cell_length_a 11.370
_cell_length_b 6.011
_cell_length_c 6.023
_cell_angle_alpha 90.00
_cell_angle_beta 90.00
_cell_angle_gamma 90.00
loop_
_atom_site_label
_atom_site_type_symbol
_atom_site_fract_x
_atom_site_fract_y
_atom_site_fract_z
Pb1 Pb 0.125 0.250 0.000
S1 S 0.112 0.250 0.514
```



Density functional theory data (GGA-PBE) for crystalline PbS at its relaxed geometry.

Properties
The calculated total energy is -4.334 eV per atom. As for the crystal system: hexagonal.

The structure in CIF format:
```
data_PbS
_chemical_formula_sum 'Pb1 S1'
_space_group_name_H-M_alt 'P -6 m 2'
_space_group_IT_number 187
_space_group_name_Hall 'P -6 2'
_cell_length_a 4.0897
_cell_length_b 4.0897
_cell_length_c 3.7882
_cell_angle_alpha 90.00
_cell_angle_beta 90.00
_cell_angle_gamma 120.00
loop_
_atom_site_label
_atom_site_type_symbol
_atom_site_fract_x
_atom_site_fract_y
_atom_site_fract_z
Pb1 Pb 0.0000 0.0000 0.0000
S1 S 0.6667 0.3333 0.5000
```